(1)
A plane-wave DFT calculation with r2SCAN was carried out for a geometry-optimized Dy5Re2O12 structure. Values from VASP.

- Space-group type: No. 11
- Formation enthalpy at 0 K: -3.199 eV/atom

Cell and atoms, written as Quantum ESPRESSO input:
```
&SYSTEM
  ibrav = 0, nat = 38, ntyp = 3
/
ATOMIC_SPECIES
Re 186.21 Re.upf
O 16.00 O.upf
Dy 162.50 Dy.upf
ATOMIC_POSITIONS angstrom
Re 4.512 4.171 -7.433
O 3.235 5.348 -6.511
Dy 2.599 1.535 -5.300
O 4.852 7.999 -5.885
O 0.537 -2.374 -4.147
O 4.000 -0.082 -6.081
Dy 6.178 9.324 -4.592
O 6.004 4.916 -6.178
O 2.996 -0.224 -0.845
Dy 1.938 -3.991 -4.928
Re 2.163 4.423 -7.875
O 3.779 2.597 -3.406
O 1.062 2.888 -3.916
O 7.837 5.267 -8.164
O 4.676 2.087 -0.722
Dy 2.371 4.334 -2.492
O 4.116 5.416 -3.439
O 1.273 0.209 -6.593
O 6.169 3.089 -8.097
Dy 6.429 7.002 -7.251
Dy 5.745 1.000 -7.027
O 5.120 5.558 -8.674
O 6.843 5.124 -2.926
O 4.337 2.737 -6.114
O 7.054 2.446 -5.603
Dy 5.516 3.799 -4.219
O 3.264 -2.665 -3.635
Dy 5.018 -1.524 -4.599
Re 5.953 0.911 -1.645
O 3.440 3.246 -8.798
O 7.579 7.707 -5.372
Dy 3.098 6.858 -4.921
O 2.112 0.418 -3.341
Re 3.604 1.162 -2.086
Dy 1.687 -1.669 -2.268
O 1.947 2.245 -1.423
O 4.881 -0.015 -3.008
O 0.279 0.067 -1.356
CELL_PARAMETERS angstrom
5.499 -0.588 1.033
0.479 -5.122 -5.466
2.138 11.044 -5.087
```

=====

(2)
A plane-wave DFT calculation with r2SCAN was carried out for a geometry-optimized DyRhO3 structure. Values from VASP.

- Space-group type: No. 62
- Formation enthalpy at 0 K: -2.488 eV/atom

Cell and atoms, written as Quantum ESPRESSO input:
```
&SYSTEM
  ibrav = 0, nat = 20, ntyp = 3
/
ATOMIC_SPECIES
Dy 162.50 Dy.upf
O 16.00 O.upf
Rh 102.91 Rh.upf
ATOMIC_POSITIONS angstrom
Dy -5.828 -2.470 -0.265
O -3.412 -1.778 3.584
O -0.559 -1.938 3.573
O -5.805 -2.226 1.988
Rh -3.956 -3.078 2.074
O -0.569 -1.895 0.593
Dy -5.987 -5.461 1.878
O -7.344 -4.261 3.555
Rh 0.000 0.000 0.000
O -3.422 -1.735 0.605
O -2.142 -4.321 -0.942
O -2.107 -3.930 2.160
O -4.491 -4.421 3.543
O -7.354 -4.218 0.576
Rh -3.781 0.212 0.016
Rh -0.176 -3.290 2.058
Dy -1.926 -0.696 2.270
O -5.770 -1.835 5.091
Dy -2.084 -3.686 4.413
O -4.501 -4.378 0.564
CELL_PARAMETERS angstrom
-0.287 -5.013 -1.421
-0.065 -1.567 5.538
-7.561 0.423 0.032
```

=====

(3)
A plane-wave DFT calculation with r2SCAN was carried out for a geometry-optimized DySbO4 structure. Values from VASP.

- Space-group type: No. 2
- Formation enthalpy at 0 K: -2.686 eV/atom

Cell and atoms, written as Quantum ESPRESSO input:
```
&SYSTEM
  ibrav = 0, nat = 24, ntyp = 3
/
ATOMIC_SPECIES
Dy 162.50 Dy.upf
O 16.00 O.upf
Sb 121.76 Sb.upf
ATOMIC_POSITIONS angstrom
Dy -0.946 -3.483 7.622
O 0.659 -3.002 6.007
Sb -0.162 -3.561 4.268
O 3.073 0.831 6.609
O 1.995 -1.439 8.110
O -2.879 0.006 4.407
Dy 2.357 0.391 4.418
O 4.290 -3.098 7.633
O -1.438 1.683 5.785
O 2.849 -4.776 6.255
Dy 1.659 -2.700 10.211
O -1.810 -1.164 6.662
Sb 2.437 -2.964 6.864
O -0.051 0.827 3.705
O 1.138 2.422 7.692
O -1.662 -3.924 5.431
Sb 1.573 0.469 7.772
O -0.585 -1.654 3.930
O 3.221 -1.928 5.378
Sb -1.027 -0.128 5.176
O 0.752 -0.090 6.033
Dy -0.248 -0.393 1.828
O 1.462 -3.920 8.335
O 0.273 -5.514 4.348
CELL_PARAMETERS angstrom
-3.457 2.425 3.274
-0.619 -6.534 3.792
5.486 1.017 4.974
```